No. 1
This record from the Materials Project database describes an optimized crystal structure of PtC2S2N4. The functional is PBE.

Unit cell a=7.672 b=8.840 c=14.390 alpha=90.00 beta=117.96 gamma=90.00
Space group P2_1/c (No. 14)
One atom of each set of equivalent atoms:
Pt (0.243, 0.198, 0.229)
C (0.249, 0.663, 0.395)
C (0.298, 0.710, 0.147)
S (0.070, 0.540, 0.370)
S (0.478, 0.660, 0.687)
N (0.165, 0.625, 0.117)
N (0.182, 0.201, 0.092)
N (0.199, 0.125, 0.332)
N (0.385, 0.744, 0.416)

Summary:
Corrected total energy (MP2020 scheme): -231.0 eV per cell
ΔH_f (0 K): 934 meV per atom

No. 2
This record from the Materials Project database describes an optimized crystal structure of ZnPtC4N4. The functional is PBE.

Unit cell a=5.490 b=5.490 c=13.359 alpha=90.00 beta=90.00 gamma=90.00
Space group P4_2/mcm (No. 132)
One atom of each set of equivalent atoms:
Zn (0.000, 0.000, 0.250)
Pt (0.500, 0.500, 0.000)
C (0.314, 0.314, 0.102)
N (0.201, 0.201, 0.160)

Summary:
Corrected total energy (MP2020 scheme): -155.6 eV per cell
ΔH_f (0 K): -21 meV per atom

No. 3
This record from the Materials Project database describes an optimized crystal structure of RbC2N3. The functional is PBE.

Unit cell a=4.043 b=12.469 c=25.698 alpha=90.00 beta=97.47 gamma=90.00
Space group P2_1/c (No. 14)
One atom of each set of equivalent atoms:
Rb (0.026, 0.152, 0.487)
Rb (0.065, 0.511, 0.241)
Rb (0.070, 0.093, 0.100)
C (0.397, 0.743, 0.793)
C (0.452, 0.002, 0.402)
C (0.460, 0.709, 0.707)
C (0.498, 0.130, 0.966)
C (0.499, 0.653, 0.149)
C (0.499, 0.673, 0.621)
N (0.364, 0.699, 0.328)
N (0.420, 0.546, 0.941)
N (0.426, 0.672, 0.756)
N (0.474, 0.684, 0.199)
N (0.478, 0.633, 0.670)
N (0.486, 0.044, 0.357)
N (0.490, 0.098, 0.918)
N (0.492, 0.652, 0.489)
N (0.493, 0.221, 0.391)

Summary:
Corrected total energy (MP2020 scheme): -560.9 eV per cell
ΔH_f (0 K): -382 meV per atom

No. 4
This record from the Materials Project database describes an optimized crystal structure of RbC2N3. The functional is PBE.

Unit cell a=8.641 b=8.653 c=13.974 alpha=101.01 beta=103.49 gamma=108.14
Space group P1 (No. 1)
One atom of each set of equivalent atoms:
Rb (0.000, 0.000, 0.000)
Rb (0.038, 0.134, 0.543)
Rb (0.142, 0.645, 0.504)
Rb (0.370, 0.968, 0.331)
Rb (0.462, 0.478, 0.285)
Rb (0.507, 0.606, 0.830)
Rb (0.555, 0.143, 0.046)
Rb (0.950, 0.467, 0.787)
C (0.045, 0.196, 0.293)
C (0.045, 0.526, 0.190)
C (0.209, 0.148, 0.807)
C (0.231, 0.888, 0.793)
C (0.265, 0.719, 0.038)
C (0.291, 0.461, 0.022)
C (0.454, 0.408, 0.538)
C (0.460, 0.084, 0.643)
C (0.647, 0.110, 0.798)
C (0.671, 0.813, 0.533)
C (0.696, 0.819, 0.142)
C (0.700, 0.372, 0.526)
C (0.798, 0.235, 0.306)
C (0.803, 0.786, 0.689)
C (0.824, 0.789, 0.297)
C (0.858, 0.498, 0.035)
N (0.138, 0.155, 0.253)
N (0.164, 0.591, 0.266)
N (0.183, 0.259, 0.776)
N (0.228, 0.755, 0.750)
N (0.239, 0.032, 0.847)
N (0.261, 0.577, 0.982)
N (0.265, 0.850, 0.083)
N (0.318, 0.350, 0.052)
N (0.341, 0.022, 0.566)
N (0.363, 0.449, 0.581)
N (0.544, 0.361, 0.484)
N (0.561, 0.798, 0.459)
N (0.594, 0.168, 0.723)
N (0.657, 0.232, 0.276)
N (0.688, 0.866, 0.067)
N (0.689, 0.762, 0.221)
N (0.710, 0.075, 0.871)
N (0.795, 0.534, 0.962)
N (0.806, 0.845, 0.610)
N (0.818, 0.741, 0.764)
N (0.842, 0.377, 0.557)
N (0.911, 0.440, 0.110)
N (0.934, 0.801, 0.370)
N (0.954, 0.245, 0.346)

Summary:
Corrected total energy (MP2020 scheme): -368.0 eV per cell
ΔH_f (0 K): -259 meV per atom